# YMn2AlB2O8

An optimized crystal structure of YMn2AlB2O8 (PBE with a Hubbard U, the Materials Project database).

Values from the calculation:
As for the uncorrected energy: -227.1 eV per cell. The energy relative to the elements is -2.920 eV/atom.

Lattice parameters (Å, degrees): 3.374 9.892 9.954 90.00 109.35 90.00
Space group Pc (No. 7)
One atom of each set of equivalent atoms:
Y: 0.000 0.141 0.000 [2 per cell]
Mn: 0.240 0.353 0.764 [2 per cell]
Mn: 0.407 0.170 0.401 [2 per cell]
Al: 0.701 0.368 0.163 [2 per cell]
B: 0.720 0.064 0.715 [2 per cell]
B: 0.877 0.419 0.460 [2 per cell]
O: 0.224 0.279 0.203 [2 per cell]
O: 0.484 0.283 0.985 [2 per cell]
O: 0.578 0.016 0.577 [2 per cell]
O: 0.732 0.200 0.752 [2 per cell]
O: 0.773 0.483 0.327 [2 per cell]
O: 0.861 0.027 0.327 [2 per cell]
O: 0.879 0.482 0.585 [2 per cell]
O: 0.983 0.284 0.473 [2 per cell]